16
Lattice="-0.391 -0.579 5.476 0.072 -3.190 -4.505 10.312 -0.703 0.662" Properties=species:S:1:pos:R:3 comment="Ta3N5 PBE optimized geometry" de_polymorph_ev_per_atom=0.000 space_group=Cmcm formation_enthalpy_0k_kj_per_mol_atoms=-122.7 pbc="T T T"
Ta 7.715 -3.203 -2.043
Ta 4.553 -3.151 -2.880
Ta 2.278 -1.269 3.676
Ta 9.370 -1.589 4.765
Ta 0.623 -2.883 -3.132
Ta 5.440 -1.321 4.513
N 4.144 -1.683 2.681
N 2.540 -2.746 -1.970
N 9.477 -3.036 -0.815
N 0.860 -0.784 5.089
N 9.132 -3.687 -3.456
N 5.849 -2.789 -1.048
N 6.436 -3.503 -3.629
N 3.557 -0.968 5.262
N 0.515 -1.436 2.448
N 7.453 -1.726 3.603


8
Lattice="3.742 -3.747 0.000 3.742 3.747 0.000 -0.010 0.000 5.296" Properties=species:S:1:pos:R:3 comment="Ti3Nb3Sn2 PBE optimized geometry" space_group=R32 formation_enthalpy_0k_kj_per_mol_atoms=-22.7 pbc="T T T"
Ti 3.742 -1.830 0.000
Ti 2.782 2.789 1.355
Ti 0.950 -0.959 3.941
Nb 4.666 0.928 1.337
Nb 2.808 0.928 3.959
Nb 3.737 -1.855 2.648
Sn 1.854 0.000 1.313
Sn 5.620 0.000 3.982


20
Lattice="6.112 -0.027 -2.135 -3.084 5.484 -2.148 0.024 0.027 6.474" Properties=species:S:1:pos:R:3 comment="MgTi4Cu3O12 PBE optimized geometry" de_polymorph_ev_per_atom=0.134 space_group=Cm formation_enthalpy_0k_kj_per_mol_atoms=-236.7 pbc="T T T"
Ti 2.931 5.342 -0.955
Ti 1.351 2.543 1.201
Ti 4.530 2.515 -3.009
Ti -0.076 5.342 -3.082
O 2.952 3.682 -0.025
O 0.165 1.550 2.142
O 2.691 2.658 2.703
O 2.495 0.938 0.578
O -0.936 3.710 3.683
O 1.512 0.616 4.370
O 4.759 0.938 2.179
O 4.037 1.522 -1.577
O 1.497 4.735 -2.118
O 0.373 2.559 -0.528
O -1.701 4.354 -0.055
O 0.619 4.354 1.585
Mg 4.234 1.931 0.521
Cu 1.534 2.628 4.339
Cu -0.001 5.381 0.001
Cu -1.246 3.955 1.762


28
Lattice="3.778 0.000 0.000 0.000 14.002 0.000 0.000 0.000 15.779" Properties=species:S:1:pos:R:3 comment="NbTe5Pd PBE optimized geometry" space_group=Pnma formation_enthalpy_0k_kj_per_mol_atoms=-32.8 pbc="T T T"
Te 0.944 8.270 2.389
Te 2.833 2.012 14.800
Te 2.833 8.962 5.041
Te 0.944 9.152 12.003
Te 2.833 9.218 15.636
Te 0.944 11.851 4.114
Te 0.944 4.784 0.143
Te 0.944 2.217 8.032
Te 2.833 4.989 6.911
Te 0.944 12.733 10.279
Te 0.944 5.040 10.738
Te 0.944 9.013 8.868
Te 2.833 11.784 7.746
Te 2.833 5.732 13.390
Te 0.944 1.961 2.849
Te 2.833 1.269 5.500
Te 0.944 11.990 0.979
Te 2.833 2.151 11.665
Te 2.833 4.850 3.776
Te 2.833 12.040 12.930
Pd 0.944 10.345 6.432
Pd 2.833 3.657 9.347
Pd 0.944 10.658 14.322
Pd 2.833 3.344 1.457
Nb 0.944 3.444 5.394
Nb 0.944 3.556 13.284
Nb 2.833 10.445 2.495
Nb 2.833 10.557 10.384